{
  "formula": "Ta3H20C4Br8NO4",
  "functional": "GGA-PBE",
  "state": "relaxed",
  "formation_energy_kj_per_mol_atoms": -68.68,
  "density_g_cm3": 3.66,
  "dft_energy_ev_per_atom": -5.18,
  "total_magnetization_mub_per_fu": 0.06,
  "lattice_angstrom": [[0.0000, -12.8211, 0.0000], [-12.5398, -6.4106, 0.0000], [-0.8965, -6.4106, -15.0048]],
  "species": ["Br", "Br", "Br", "Br", "Br", "Br", "Br", "Br", "Br", "Br", "Br", "Br", "Br", "Br", "Br", "Br", "Br", "Br", "Br", "Br", "Br", "Br", "Br", "Br", "Br", "Br", "Br", "Br", "Br", "Br", "Br", "Br", "O", "O", "O", "O", "O", "O", "O", "O", "O", "O", "O", "O", "O", "O", "O", "O", "H", "H", "H", "H", "H", "H", "H", "H", "H", "H", "H", "H", "H", "H", "H", "H", "H", "H", "H", "H", "H", "H", "H", "H", "H", "H", "H", "H", "H", "H", "H", "H", "H", "H", "H", "H", "H", "H", "H", "H", "H", "H", "H", "H", "H", "H", "H", "H", "H", "H", "H", "H", "H", "H", "H", "H", "H", "H", "H", "H", "H", "H", "H", "H", "H", "H", "H", "H", "H", "H", "H", "H", "H", "H", "H", "H", "H", "H", "H", "H", "C", "C", "C", "C", "C", "C", "C", "C", "C", "C", "C", "C", "C", "C", "C", "C", "N", "N", "N", "N", "Ta", "Ta", "Ta", "Ta", "Ta", "Ta", "Ta", "Ta", "Ta", "Ta", "Ta", "Ta"],
  "frac_coords": [[0.9803, 0.5800, 0.1022], [0.8615, 0.1291, 0.9405], [0.0500, 0.0823, 0.6020], [0.8565, 0.8701, 0.0599], [0.4404, 0.4730, 0.7165], [0.6792, 0.7500, 0.2500], [0.1385, 0.8709, 0.0595], [0.0197, 0.4200, 0.8978], [0.1584, 0.9606, 0.7946], [0.6299, 0.0270, 0.7835], [0.0689, 0.6291, 0.4405], [0.9959, 0.2601, 0.1941], [0.2656, 0.5823, 0.1020], [0.5499, 0.7601, 0.6941], [0.0041, 0.7399, 0.8059], [0.8416, 0.0394, 0.2054], [0.9136, 0.5394, 0.7054], [0.6626, 0.9200, 0.3978], [0.3701, 0.9730, 0.2165], [0.3208, 0.2500, 0.7500], [0.4501, 0.2399, 0.3059], [0.2134, 0.3701, 0.5599], [0.3374, 0.0800, 0.6022], [0.7866, 0.6299, 0.4401], [0.2484, 0.7500, 0.2500], [0.1435, 0.1299, 0.9401], [0.5596, 0.5270, 0.2835], [0.7344, 0.4177, 0.8980], [0.0864, 0.4606, 0.2946], [0.9500, 0.9177, 0.3980], [0.9311, 0.3709, 0.5595], [0.7516, 0.2500, 0.7500], [0.8699, 0.8522, 0.6377], [0.8734, 0.2909, 0.0341], [0.6922, 0.4927, 0.7118], [0.1983, 0.2091, 0.4659], [0.6182, 0.9974, 0.2126], [0.8967, 0.0073, 0.7882], [0.3818, 0.0026, 0.7874], [0.1718, 0.4974, 0.7126], [0.8017, 0.7909, 0.5341], [0.8282, 0.5026, 0.2874], [0.1033, 0.9927, 0.2118], [0.3078, 0.5073, 0.2882], [0.1266, 0.7091, 0.9659], [0.6402, 0.3522, 0.1377], [0.1301, 0.1478, 0.3623], [0.3598, 0.6478, 0.8623], [0.3994, 0.1545, 0.9350], [0.3316, 0.6331, 0.4531], [0.3623, 0.8050, 0.3844], [0.2697, 0.2251, 0.4256], [0.2899, 0.6103, 0.5726], [0.6892, 0.6046, 0.0401], [0.4177, 0.8669, 0.0469], [0.3935, 0.6934, 0.8145], [0.5062, 0.7420, 0.5031], [0.4728, 0.8897, 0.9274], [0.3781, 0.5227, 0.2842], [0.6840, 0.7792, 0.8420], [0.2040, 0.0871, 0.3306], [0.4221, 0.7836, 0.9759], [0.4238, 0.9348, 0.7569], [0.2386, 0.3502, 0.1104], [0.6948, 0.2792, 0.3420], [0.3007, 0.8502, 0.6104], [0.2172, 0.6902, 0.9275], [0.9403, 0.9283, 0.7943], [0.5387, 0.6285, 0.0409], [0.8151, 0.0227, 0.7842], [0.5111, 0.6545, 0.4350], [0.2541, 0.4782, 0.7178], [0.7101, 0.3897, 0.4274], [0.3108, 0.3954, 0.9599], [0.7960, 0.9129, 0.6694], [0.3160, 0.2208, 0.1580], [0.5151, 0.3782, 0.4470], [0.3803, 0.3181, 0.1302], [0.7459, 0.5218, 0.2822], [0.6993, 0.1498, 0.3896], [0.1849, 0.9773, 0.2158], [0.6216, 0.4129, 0.1694], [0.0597, 0.0717, 0.2057], [0.1156, 0.5652, 0.7431], [0.7920, 0.1285, 0.5409], [0.4938, 0.2580, 0.4969], [0.5499, 0.9782, 0.2178], [0.3052, 0.7208, 0.6580], [0.5272, 0.1103, 0.0726], [0.4501, 0.0218, 0.7822], [0.2080, 0.8715, 0.4591], [0.4889, 0.3455, 0.5650], [0.6065, 0.3066, 0.1855], [0.1651, 0.1902, 0.4275], [0.4849, 0.6218, 0.5530], [0.6006, 0.8455, 0.0650], [0.8185, 0.2836, 0.4759], [0.7614, 0.6498, 0.8896], [0.8285, 0.1819, 0.3698], [0.6661, 0.1046, 0.5401], [0.0796, 0.7251, 0.9256], [0.5517, 0.6950, 0.1156], [0.9204, 0.2749, 0.0744], [0.1815, 0.7164, 0.5241], [0.6597, 0.8782, 0.9470], [0.5762, 0.0652, 0.2431], [0.6219, 0.4773, 0.7158], [0.7303, 0.7749, 0.5744], [0.6197, 0.6819, 0.8698], [0.3371, 0.4283, 0.2943], [0.7828, 0.3098, 0.0725], [0.3784, 0.5871, 0.8306], [0.4613, 0.3715, 0.9591], [0.8844, 0.4348, 0.2569], [0.4483, 0.3050, 0.8844], [0.7512, 0.7580, 0.9969], [0.3403, 0.1218, 0.0530], [0.3339, 0.8954, 0.4599], [0.9015, 0.8066, 0.6855], [0.6684, 0.3669, 0.5469], [0.5779, 0.2164, 0.0241], [0.6377, 0.1950, 0.6156], [0.1715, 0.8181, 0.6302], [0.2488, 0.2420, 0.0031], [0.8349, 0.8098, 0.5725], [0.0985, 0.1934, 0.3145], [0.6629, 0.5717, 0.7057], [0.5823, 0.1331, 0.9531], [0.4061, 0.3359, 0.9508], [0.7274, 0.2127, 0.3887], [0.7201, 0.3295, 0.4828], [0.3432, 0.1864, 0.0011], [0.2726, 0.7873, 0.6113], [0.6928, 0.1641, 0.5492], [0.5308, 0.3136, 0.4989], [0.5939, 0.6641, 0.0492], [0.2799, 0.6705, 0.5172], [0.4675, 0.8295, 0.9828], [0.3072, 0.8359, 0.4508], [0.4692, 0.6864, 0.5011], [0.6712, 0.7127, 0.8887], [0.3288, 0.2873, 0.1113], [0.5325, 0.1705, 0.0172], [0.6568, 0.8136, 0.9989], [0.6682, 0.2544, 0.4800], [0.5973, 0.7544, 0.9800], [0.3318, 0.7456, 0.5200], [0.4027, 0.2456, 0.0200], [0.9717, 0.1346, 0.7673], [0.1142, 0.2304, 0.6140], [0.8998, 0.6345, 0.2669], [0.8012, 0.8655, 0.2331], [0.8737, 0.3654, 0.7327], [0.0415, 0.7304, 0.1140], [0.1263, 0.6346, 0.2673], [0.9585, 0.2696, 0.8860], [0.1002, 0.3655, 0.7331], [0.1988, 0.1345, 0.7669], [0.8858, 0.7696, 0.3860], [0.0283, 0.8654, 0.2327]]
}